IrC4 (PBE, relaxed); density = 9.779 g cm⁻³; volume = 8.16 Å³/atom; formation enthalpy at 0 K = 1.270 eV/atom; symmetry = P3_121; total DFT energy (no corrections) = -7.88 eV per atom; total moment = 0.00 μB/f.u.; distance to the lowest polymorph of the same formula = 690.9 meV/atom
1.0
-1.298 4.378 1.752
-3.117 -3.760 0.260
2.203 -1.460 5.283
C Ir
12 3
direct
0.715 0.557 0.145
0.557 0.715 0.855
0.443 0.157 0.478
0.157 0.443 0.522
0.421 0.421 0.000
0.285 0.843 0.188
0.843 0.285 0.812
0.153 0.000 0.333
0.000 0.153 0.667
0.847 0.847 0.000
0.000 0.579 0.667
0.579 0.000 0.333
0.680 0.680 0.500
0.320 0.000 0.833
0.000 0.320 0.167